[1]
Computed, not measured: Li2In after structural relaxation at the GGA-PBE level of DFT.

Summary:
DFT formation energy in meV per atom: -288
Calculated density in g/cm³: 3.82
Final energy in eV/f.u.: -7.43

Cell lengths 4.7133, 10.0315, 4.7343 Å; angles 90.00, 90.00, 90.00 degrees
Closest atoms and distances in Å follow each position.
Space group Cmcm (No. 63)
Unique sites:
1 Li 0.0000 0.0894 0.2500 (multiplicity 4)  6 Li 2.81-2.97, 2 In 2.96
2 Li 0.0000 0.2575 0.7500 (multiplicity 4)  4 Li 2.81-2.91, 4 In 2.82-2.90
3 In 0.0000 0.4108 0.2500 (multiplicity 4)  6 Li 2.82-2.96, 2 In 2.97

---

[2]
Computed, not measured: FeN2Cl2 after structural relaxation at the GGA-PBE level of DFT.

Summary:
DFT formation energy in meV per atom: 869
Energy above the most stable polymorph in this dataset in meV per atom: 0
Calculated density in g/cm³: 2.93
Final energy in eV/f.u.: -23.26

Cell lengths 6.9973, 7.3897, 3.3942 Å; angles 90.00, 90.00, 90.00 degrees
Closest atoms and distances in Å follow each position.
Space group Cmmm (No. 65)
Unique sites:
1 Fe 0.0000 0.0000 0.0000 (multiplicity 2)  2 N 1.70
2 N 0.2430 0.0000 0.0000 (multiplicity 4)  1 Fe 1.70
3 Cl 0.0000 0.2124 0.5000 (multiplicity 4)  2 Fe 2.31

---

[3]
Computed, not measured: Ca3InP3 after structural relaxation at the GGA-PBE level of DFT.

Summary:
DFT formation energy in meV per atom: -955
Calculated density in g/cm³: 3.18
Final energy in eV/f.u.: -31.69

Cell lengths 12.1215, 4.1589, 13.5951 Å; angles 90.00, 90.00, 90.00 degrees
Closest atoms and distances in Å follow each position.
Space group Pnma (No. 62)
Unique sites:
1 Ca 0.0656 0.2500 0.1027 (multiplicity 4)  5 P 2.93-3.04
2 Ca 0.1530 0.7500 0.5044 (multiplicity 4)  5 P 2.94-3.05
3 Ca 0.2320 0.7500 0.7888 (multiplicity 4)  5 P 2.84-3.03
4 In 0.0519 0.2500 0.6997 (multiplicity 4)  4 P 2.59-2.64
5 P 0.0511 0.2500 0.3673 (multiplicity 4)  2 In 2.59, 1 Ca 2.84
6 P 0.1047 0.2500 0.8865 (multiplicity 4)  1 In 2.62, 2 Ca 2.91
7 P 0.2460 0.7500 0.1281 (multiplicity 4)  1 In 2.64, 2 Ca 2.94

---

[4]
Computed, not measured: Li7Mo12S16 after structural relaxation at the GGA-PBE level of DFT.

Summary:
DFT formation energy in meV per atom: -1129
Calculated density in g/cm³: 4.80
Final energy in eV/f.u.: -241.17

Cell lengths 6.6784, 6.6935, 13.3958 Å; angles 94.55, 94.20, 94.93 degrees
Closest atoms and distances in Å follow each position.
Space group P1 (No. 1)
Unique sites:
1 Li 0.0000 0.0000 0.0000 (multiplicity 1)  4 S 2.39-2.52
2 Li 0.0007 0.9973 0.4959 (multiplicity 1)  4 S 2.39-2.51
3 Li 0.0048 0.5805 0.8056 (multiplicity 1)  4 S 2.39-2.51
4 Li 0.0736 0.0773 0.7301 (multiplicity 1)  4 S 2.49-2.58
5 Li 0.4244 0.9507 0.2996 (multiplicity 1)  4 S 2.39-2.51
6 Li 0.6016 0.0018 0.7823 (multiplicity 1)  4 S 2.39-2.55
7 Li 0.9313 0.1117 0.2665 (multiplicity 1)  4 S 2.48-2.59
8 Mo 0.2564 0.3936 0.0657 (multiplicity 1)  5 S 2.46-2.61, 4 Mo 2.68-2.69
9 Mo 0.2559 0.3958 0.5645 (multiplicity 1)  5 S 2.48-2.61, 4 Mo 2.67-2.68
10 Mo 0.4353 0.5274 0.4061 (multiplicity 1)  5 S 2.45-2.60, 4 Mo 2.68-2.70
11 Mo 0.4366 0.5260 0.9084 (multiplicity 1)  5 S 2.47-2.64, 4 Mo 2.68-2.70
12 Mo 0.4778 0.7493 0.5845 (multiplicity 1)  5 S 2.46-2.62, 4 Mo 2.67-2.69
13 Mo 0.4776 0.7505 0.0868 (multiplicity 1)  5 S 2.45-2.61, 4 Mo 2.67-2.70
14 Mo 0.5688 0.2119 0.9983 (multiplicity 1)  5 S 2.47-2.61, 4 Mo 2.68-2.71
15 Mo 0.5686 0.2149 0.4963 (multiplicity 1)  5 S 2.47-2.62, 4 Mo 2.68-2.69
16 Mo 0.6104 0.4361 0.6746 (multiplicity 1)  5 S 2.47-2.63, 4 Mo 2.68-2.69
17 Mo 0.6109 0.4378 0.1771 (multiplicity 1)  5 S 2.46-2.62, 4 Mo 2.66-2.71
18 Mo 0.7900 0.5696 0.0204 (multiplicity 1)  5 S 2.46-2.62, 4 Mo 2.66-2.69
19 Mo 0.7932 0.5709 0.5171 (multiplicity 1)  5 S 2.45-2.60, 4 Mo 2.69-2.70
20 S 0.1559 0.6922 0.9800 (multiplicity 1)  2 Li 2.39-2.51, 4 Mo 2.47-2.62
21 S 0.1582 0.6908 0.4780 (multiplicity 1)  1 Li 2.39, 4 Mo 2.45-2.60
22 S 0.2362 0.1986 0.3978 (multiplicity 1)  3 Mo 2.46-2.49, 3 Li 2.50-2.59
23 S 0.2401 0.1947 0.8991 (multiplicity 1)  3 Mo 2.47-2.50, 2 Li 2.49-2.52
24 S 0.3092 0.6040 0.2264 (multiplicity 1)  4 Mo 2.46-2.60, 1 Li 2.48
25 S 0.3134 0.6083 0.7257 (multiplicity 1)  1 Li 2.39, 4 Mo 2.47-2.64
26 S 0.3944 0.1117 0.6470 (multiplicity 1)  2 Li 2.40-2.49, 4 Mo 2.49-2.62
27 S 0.3980 0.1134 0.1473 (multiplicity 1)  1 Li 2.39, 4 Mo 2.47-2.61
28 S 0.6501 0.8498 0.9366 (multiplicity 1)  2 Li 2.39-2.52, 4 Mo 2.48-2.61
29 S 0.6513 0.8524 0.4338 (multiplicity 1)  2 Li 2.43-2.51, 4 Mo 2.49-2.62
30 S 0.7354 0.3532 0.8561 (multiplicity 1)  2 Li 2.42-2.54, 4 Mo 2.48-2.63
31 S 0.7405 0.3600 0.3580 (multiplicity 1)  4 Mo 2.45-2.62, 1 Li 2.48
32 S 0.8044 0.7686 0.1838 (multiplicity 1)  3 Mo 2.45-2.46, 1 Li 2.52
33 S 0.8127 0.7706 0.6824 (multiplicity 1)  3 Mo 2.48-2.50, 3 Li 2.51-2.58
34 S 0.8912 0.2700 0.6041 (multiplicity 1)  2 Li 2.44-2.51, 4 Mo 2.47-2.61
35 S 0.8916 0.2701 0.1052 (multiplicity 1)  2 Li 2.40-2.49, 4 Mo 2.48-2.61

---

Number 2 is which compound?
FeN2Cl2